VASP calculation (PBE with a Hubbard U) on an optimized crystal structure of Mg14MnSiO16.

Cell: 4.306 8.601 8.630 Å, 90.00 90.00 90.00°
Sites, in units of the cell vectors:
O 0.500 0.000 0.000
O 0.000 0.000 0.259
O 0.500 0.500 0.500
O 0.000 0.249 0.500
O 0.500 0.750 0.249
Mg 0.500 0.500 0.253
Mg 0.000 0.000 0.500
O 0.000 0.500 0.263
Mg 0.000 0.750 0.748
Mg 0.500 0.000 0.252
O 0.000 0.751 0.500
Mg 0.000 0.750 0.252
Mg 0.500 0.250 0.500
O 0.500 0.250 0.249
Mg 0.000 0.250 0.252
O 0.500 0.500 0.000
Mg 0.500 0.751 0.000
O 0.000 0.000 0.741
Mg 0.500 0.000 0.748
O 0.500 0.750 0.751
Mg 0.500 0.249 0.000
Si 0.000 0.500 0.000
Mg 0.500 0.500 0.747
Mg 0.000 0.500 0.500
O 0.500 0.000 0.500
O 0.000 0.248 0.000
Mg 0.500 0.750 0.500
Mn 0.000 0.000 0.000
O 0.000 0.752 0.000
Mg 0.000 0.250 0.748
O 0.000 0.500 0.737
O 0.500 0.250 0.751

Summary:
As for the total DFT energy (no corrections): -6.05 eV/atom. The density comes out at 3.53 g cm⁻³. The formation enthalpy at 0 K is -2.81 eV/atom.